<A>
{"formula": "SrLaMnFeO6", "functional": "GGA+U", "state": "optimized geometry", "space_group": "Pc", "magmom_total_mub_per_fu": 8.00, "cell": [[-5.534, 0.000, 0.000], [0.000, -0.002, -5.550], [0.000, -7.793, -0.003]], "species": ["Sr", "Sr", "La", "La", "Mn", "Mn", "Fe", "Fe", "O", "O", "O", "O", "O", "O", "O", "O", "O", "O", "O", "O"], "fractional_positions": [[0.516, 0.498, 0.750], [0.984, 0.998, 0.250], [0.024, 0.005, 0.750], [0.476, 0.505, 0.250], [0.999, 0.500, 0.000], [0.501, 0.000, 0.500], [0.503, 0.000, 0.000], [0.997, 0.500, 0.500], [0.995, 0.565, 0.756], [0.505, 0.065, 0.256], [0.488, 0.950, 0.744], [0.012, 0.450, 0.244], [0.265, 0.273, 0.972], [0.235, 0.773, 0.472], [0.774, 0.216, 0.532], [0.726, 0.716, 0.032], [0.717, 0.727, 0.468], [0.783, 0.227, 0.968], [0.227, 0.764, 0.027], [0.273, 0.264, 0.528]]}



<B>
{"formula": "SrLaMnFeO6", "functional": "GGA+U", "state": "optimized geometry", "space_group": "P2/c", "magmom_total_mub_per_fu": 8.00, "cell": [[-8.475, 3.976, -5.908], [2.681, -1.240, -4.680], [-3.291, -7.119, -0.070]], "species": ["Sr", "Sr", "Sr", "Sr", "La", "La", "La", "La", "Mn", "Mn", "Mn", "Mn", "Fe", "Fe", "Fe", "Fe", "O", "O", "O", "O", "O", "O", "O", "O", "O", "O", "O", "O", "O", "O", "O", "O", "O", "O", "O", "O", "O", "O", "O", "O"], "fractional_positions": [[0.379, 0.750, 0.500], [0.619, 0.250, 0.000], [0.381, 0.750, 0.000], [0.621, 0.250, 0.500], [0.873, 0.750, 0.500], [0.131, 0.250, 0.000], [0.869, 0.750, 0.000], [0.127, 0.250, 0.500], [0.377, 0.252, 0.751], [0.623, 0.748, 0.249], [0.377, 0.248, 0.249], [0.623, 0.752, 0.751], [0.873, 0.248, 0.749], [0.127, 0.752, 0.251], [0.873, 0.252, 0.251], [0.127, 0.748, 0.749], [0.509, 0.017, 0.267], [0.386, 0.250, 0.000], [0.509, 0.483, 0.733], [0.762, 0.531, 0.768], [0.491, 0.517, 0.267], [0.650, 0.750, 0.500], [0.614, 0.750, 0.000], [0.762, 0.969, 0.232], [0.491, 0.983, 0.733], [0.012, 0.028, 0.274], [0.743, 0.006, 0.771], [0.900, 0.250, 0.000], [0.857, 0.250, 0.500], [0.012, 0.472, 0.726], [0.743, 0.494, 0.229], [0.257, 0.506, 0.771], [0.988, 0.528, 0.274], [0.143, 0.750, 0.500], [0.100, 0.750, 0.000], [0.257, 0.994, 0.229], [0.988, 0.972, 0.726], [0.238, 0.031, 0.768], [0.350, 0.250, 0.500], [0.238, 0.469, 0.232]]}



Which one sits at the top of the stability order? <A> does.



<A>
{"formula": "VGe2O6", "functional": "GGA+U", "state": "optimized geometry", "space_group": "P-1", "magmom_total_mub_per_fu": 1.00, "cell": [[-5.003, -0.313, -2.490], [-3.826, -3.360, 4.300], [-3.454, 5.349, 2.325]], "species": ["V", "V", "Ge", "Ge", "Ge", "Ge", "O", "O", "O", "O", "O", "O", "O", "O", "O", "O", "O", "O"], "fractional_positions": [[0.747, 0.905, 0.099], [0.253, 0.095, 0.901], [0.763, 0.381, 0.209], [0.737, 0.792, 0.615], [0.237, 0.619, 0.791], [0.263, 0.208, 0.385], [0.445, 0.396, 0.337], [0.052, 0.660, 0.611], [0.555, 0.604, 0.663], [0.948, 0.340, 0.389], [0.244, 0.082, 0.628], [0.248, 0.369, 0.915], [0.756, 0.918, 0.372], [0.752, 0.631, 0.085], [0.875, 0.171, 0.038], [0.617, 0.961, 0.825], [0.125, 0.829, 0.962], [0.383, 0.039, 0.175]]}



<B>
{"formula": "VGe2O6", "functional": "GGA+U", "state": "optimized geometry", "space_group": "P-1", "magmom_total_mub_per_fu": 1.00, "cell": [[1.669, -4.821, -4.425], [0.092, -4.575, 6.011], [-8.397, -4.953, -1.263]], "species": ["V", "V", "V", "V", "Ge", "Ge", "Ge", "Ge", "Ge", "Ge", "Ge", "Ge", "O", "O", "O", "O", "O", "O", "O", "O", "O", "O", "O", "O", "O", "O", "O", "O", "O", "O", "O", "O", "O", "O", "O", "O"], "fractional_positions": [[0.898, 0.176, 0.926], [0.102, 0.824, 0.074], [0.898, 0.675, 0.426], [0.102, 0.324, 0.574], [0.384, 0.720, 0.489], [0.384, 0.220, 0.989], [0.791, 0.943, 0.674], [0.791, 0.443, 0.173], [0.616, 0.280, 0.511], [0.616, 0.780, 0.011], [0.209, 0.057, 0.326], [0.209, 0.557, 0.827], [0.388, 0.946, 0.401], [0.388, 0.446, 0.901], [0.654, 0.284, 0.328], [0.652, 0.784, 0.828], [0.612, 0.054, 0.599], [0.612, 0.554, 0.099], [0.348, 0.216, 0.172], [0.346, 0.716, 0.672], [0.080, 0.194, 0.435], [0.079, 0.694, 0.935], [0.371, 0.331, 0.590], [0.371, 0.831, 0.090], [0.921, 0.807, 0.565], [0.921, 0.307, 0.065], [0.629, 0.669, 0.410], [0.629, 0.169, 0.910], [0.175, 0.576, 0.462], [0.175, 0.076, 0.962], [0.961, 0.105, 0.719], [0.961, 0.605, 0.220], [0.825, 0.423, 0.538], [0.825, 0.924, 0.038], [0.038, 0.895, 0.281], [0.039, 0.395, 0.780]]}



Which one sits at the top of the stability order? <B> does.